Record 1
The following is a GGA+U calculation of GdFe3B4O12 after structural relaxation, from the Materials Project database.

```
data_GdFe3B4O12
_cell_length_a 9.6554
_cell_length_b 9.6554
_cell_length_c 7.6820
_cell_angle_alpha 90.00
_cell_angle_beta 90.00
_cell_angle_gamma 120.00
_symmetry_space_group_name_H-M 'P 31 2 1'
_symmetry_Int_Tables_number 152
_symmetry_space_group_name_Hall 'P 31 2"'
loop_
_atom_site_label
_atom_site_type_symbol
_atom_site_fract_x
_atom_site_fract_y
_atom_site_fract_z
_atom_site_occupancy
Gd1 Gd 0.0000 0.3335 0.1667 1
Fe1 Fe 0.0000 0.8839 0.1667 1
Fe2 Fe 0.2155 0.6658 0.4970 1
B1 B 0.0000 0.3328 0.6667 1
B2 B 0.0000 0.7805 0.6667 1
B3 B 0.1172 0.6694 0.9962 1
O1 O 0.0000 0.1893 0.6667 1
O2 O 0.0000 0.9239 0.6667 1
O3 O 0.0203 0.5426 0.3499 1
O4 O 0.1216 0.8138 0.0150 1
O5 O 0.1438 0.4760 0.6642 1
O6 O 0.1461 0.7874 0.6503 1
O7 O 0.2630 0.6742 0.9895 1
```

Record 2
The following is a GGA+U calculation of GdFe3B4O12 after structural relaxation, from the Materials Project database.

```
data_GdFe3B4O12
_cell_length_a 9.4717
_cell_length_b 9.4717
_cell_length_c 7.4195
_cell_angle_alpha 90.00
_cell_angle_beta 90.00
_cell_angle_gamma 120.00
_symmetry_space_group_name_H-M 'R 3 2'
_symmetry_Int_Tables_number 155
_symmetry_space_group_name_Hall 'R 3 2"'
loop_
_atom_site_label
_atom_site_type_symbol
_atom_site_fract_x
_atom_site_fract_y
_atom_site_fract_z
_atom_site_occupancy
Gd1 Gd 0.0000 0.0000 0.0000 1
Fe1 Fe 0.0000 0.4430 0.0000 1
B1 B 0.0000 0.0000 0.5000 1
B2 B 0.0000 0.5595 0.5000 1
O1 O 0.0000 0.1466 0.5000 1
O2 O 0.0000 0.4122 0.5000 1
O3 O 0.0308 0.8154 0.1868 1
```

Record 3
The following is a GGA+U calculation of FeBP2H5NO9 after structural relaxation, from the Materials Project database.

```
data_FeBP2H5NO9
_cell_length_a 9.473
_cell_length_b 8.391
_cell_length_c 9.801
_cell_angle_alpha 90.00
_cell_angle_beta 102.26
_cell_angle_gamma 90.00
_symmetry_space_group_name_H-M 'P 1 21/c 1'
_symmetry_Int_Tables_number 14
_symmetry_space_group_name_Hall '-P 2ybc'
loop_
_atom_site_label
_atom_site_type_symbol
_atom_site_fract_x
_atom_site_fract_y
_atom_site_fract_z
_atom_site_occupancy
Fe1 Fe 0.212 0.154 0.431 1
B1 B 0.332 0.562 0.192 1
P1 P 0.076 0.062 0.705 1
P2 P 0.422 0.243 0.216 1
H1 H 0.112 0.686 0.522 1
H2 H 0.155 0.554 0.654 1
H3 H 0.170 0.501 0.489 1
H4 H 0.285 0.635 0.584 1
H5 H 0.400 0.583 0.003 1
N1 N 0.181 0.594 0.561 1
O1 O 0.077 0.006 0.306 1
O2 O 0.089 0.166 0.578 1
O3 O 0.112 0.153 0.846 1
O4 O 0.186 0.581 0.219 1
O5 O 0.313 0.553 0.036 1
O6 O 0.345 0.130 0.299 1
O7 O 0.371 0.224 0.058 1
O8 O 0.408 0.080 0.762 1
O9 O 0.411 0.710 0.242 1
```

Record 4
The following is a GGA+U calculation of NaFe9Si6B3H3O31 after structural relaxation, from the Materials Project database.

```
data_NaFe9Si6B3H3O31
_cell_length_a 16.4758
_cell_length_b 16.4758
_cell_length_c 7.6716
_cell_angle_alpha 90.00
_cell_angle_beta 90.00
_cell_angle_gamma 120.00
_symmetry_space_group_name_H-M 'R 3 m'
_symmetry_Int_Tables_number 160
_symmetry_space_group_name_Hall 'R 3 -2"'
loop_
_atom_site_label
_atom_site_type_symbol
_atom_site_fract_x
_atom_site_fract_y
_atom_site_fract_z
_atom_site_occupancy
Na1 Na 0.0000 0.0000 0.0000 1
Fe1 Fe 0.0683 0.3663 0.0468 1
Fe2 Fe 0.1233 0.0617 0.4131 1
Si1 Si 0.1469 0.4790 0.4308 1
B1 B 0.1090 0.2179 0.2259 1
H1 H 0.2107 0.4214 0.8224 1
O1 O 0.0000 0.0000 0.5348 1
O2 O 0.0019 0.2798 0.8406 1
O3 O 0.0603 0.2651 0.2078 1
O4 O 0.0608 0.1216 0.2639 1
O5 O 0.0906 0.1812 0.8329 1
O6 O 0.1504 0.4754 0.2185 1
O7 O 0.1811 0.0906 0.8489 1
O8 O 0.2072 0.4143 0.9488 1
```

Record 5
The following is a GGA+U calculation of FeB12H4O24 after structural relaxation, from the Materials Project database.

```
data_FeB12H4O24
_cell_length_a 11.861
_cell_length_b 8.718
_cell_length_c 8.777
_cell_angle_alpha 90.00
_cell_angle_beta 104.04
_cell_angle_gamma 90.00
_symmetry_space_group_name_H-M 'P 1 21/c 1'
_symmetry_Int_Tables_number 14
_symmetry_space_group_name_Hall '-P 2ybc'
loop_
_atom_site_label
_atom_site_type_symbol
_atom_site_fract_x
_atom_site_fract_y
_atom_site_fract_z
_atom_site_occupancy
Fe1 Fe 0.000 0.000 0.000 1
B1 B 0.024 0.246 0.261 1
B2 B 0.084 0.509 0.207 1
B3 B 0.143 0.210 0.560 1
B4 B 0.278 0.035 0.139 1
B5 B 0.354 0.596 0.893 1
B6 B 0.469 0.596 0.703 1
H1 H 0.269 0.589 0.059 1
H2 H 0.418 0.092 0.932 1
O1 O 0.013 0.084 0.777 1
O2 O 0.045 0.209 0.107 1
O3 O 0.077 0.665 0.214 1
O4 O 0.119 0.192 0.390 1
O5 O 0.158 0.056 0.628 1
O6 O 0.175 0.531 0.531 1
O7 O 0.250 0.200 0.097 1
O8 O 0.276 0.003 0.298 1
O9 O 0.335 0.642 0.033 1
O10 O 0.387 0.504 0.603 1
O11 O 0.429 0.134 0.832 1
O12 O 0.450 0.647 0.846 1
```

Record 6
The following is a GGA+U calculation of FeB10H26O8 after structural relaxation, from the Materials Project database.

```
data_FeB10H26O8
_cell_length_a 13.047
_cell_length_b 6.766
_cell_length_c 18.774
_cell_angle_alpha 90.00
_cell_angle_beta 104.71
_cell_angle_gamma 90.00
_symmetry_space_group_name_H-M 'C 1 2/c 1'
_symmetry_Int_Tables_number 15
_symmetry_space_group_name_Hall '-C 2yc'
loop_
_atom_site_label
_atom_site_type_symbol
_atom_site_fract_x
_atom_site_fract_y
_atom_site_fract_z
_atom_site_occupancy
Fe1 Fe 0.250 0.250 0.000 1
B1 B 0.019 0.173 0.155 1
B2 B 0.031 0.003 0.799 1
B3 B 0.047 0.350 0.222 1
B4 B 0.086 0.247 0.313 1
B5 B 0.102 0.099 0.236 1
H1 H 0.031 0.173 0.094 1
H2 H 0.038 0.359 0.941 1
H3 H 0.061 0.160 0.827 1
H4 H 0.085 0.496 0.711 1
H5 H 0.102 0.212 0.633 1
H6 H 0.109 0.479 0.417 1
H7 H 0.112 0.053 0.444 1
H8 H 0.138 0.100 0.529 1
H9 H 0.141 0.385 0.591 1
H10 H 0.165 0.310 0.355 1
H11 H 0.177 0.264 0.131 1
H12 H 0.188 0.033 0.237 1
H13 H 0.206 0.151 0.852 1
O1 O 0.095 0.267 0.584 1
O2 O 0.109 0.420 0.955 1
O3 O 0.158 0.012 0.492 1
O4 O 0.228 0.334 0.109 1
```

no.,energy of formation (eV/atom),calculated volume (Å³/f.u.),magnetization (Bohr magnetons per cell)
1,-2.5714,206.74,66.0
2,-2.3233,192.15,12.0
3,-1.9320,190.32,20.0
4,-2.3634,601.16,129.0
5,-2.2383,440.23,20.0
6,-0.7058,400.71,16.0